## Cs (GGA-PBE)

Data for a relaxed structure of Cs.

Cell: 17.370 10.437 10.442 Å, 90.00 90.00 90.00°
Sites, in units of the cell vectors:
1 Cs 0.000 0.176 0.176
2 Cs 0.000 0.324 0.676
3 Cs 0.000 0.676 0.324
4 Cs 0.000 0.824 0.824
5 Cs 0.217 0.000 0.500
6 Cs 0.217 0.500 0.000
7 Cs 0.283 0.000 0.000
8 Cs 0.283 0.500 0.500
9 Cs 0.500 0.176 0.324
10 Cs 0.500 0.324 0.824
11 Cs 0.500 0.676 0.176
12 Cs 0.500 0.824 0.676
13 Cs 0.717 0.000 0.000
14 Cs 0.717 0.500 0.500
15 Cs 0.783 0.000 0.500
16 Cs 0.783 0.500 0.000

The calculation puts the energy above the most stable polymorph in this dataset at 54 meV/atom. The crystal system is orthorhombic. The formation energy comes out at 0.05 eV per atom. The value obtained for the uncorrected energy is -0.84 eV/atom.